The following is a PBE calculation of a geometry-optimized InFe2N2 structure, from the Materials Project.

```
data_InFe2N2
_cell_length_a 2.976
_cell_length_b 2.976
_cell_length_c 8.420
_cell_angle_alpha 99.73
_cell_angle_beta 99.73
_cell_angle_gamma 59.78
_symmetry_space_group_name_H-M 'P 1'
_symmetry_Int_Tables_number 1
loop_
_symmetry_equiv_pos_as_xyz
'x,y,z'
loop_
_atom_site_label
_atom_site_type_symbol
_atom_site_fract_x
_atom_site_fract_y
_atom_site_fract_z
_atom_site_occupancy
In1 In 0.000 0.000 0.000 1
Fe1 Fe 0.206 0.206 0.624 1
Fe2 Fe 0.794 0.794 0.376 1
N1 N 0.105 0.105 0.309 1
N2 N 0.895 0.895 0.691 1
```

Results
Space group: C2/m
Energy with MP2020 corrections: -7.28 eV per atom



The following is a PBE calculation of a geometry-optimized SrAgO2 structure, from the Materials Project.

```
data_SrAgO2
_cell_length_a 5.464
_cell_length_b 5.464
_cell_length_c 5.464
_cell_angle_alpha 113.21
_cell_angle_beta 113.21
_cell_angle_gamma 102.23
_symmetry_space_group_name_H-M 'P 1'
_symmetry_Int_Tables_number 1
loop_
_symmetry_equiv_pos_as_xyz
'x,y,z'
loop_
_atom_site_label
_atom_site_type_symbol
_atom_site_fract_x
_atom_site_fract_y
_atom_site_fract_z
_atom_site_occupancy
Sr1 Sr 0.250 0.750 0.500 1
Sr2 Sr 0.750 0.250 0.500 1
Ag1 Ag 0.000 0.000 0.000 1
Ag2 Ag 0.500 0.500 0.000 1
O1 O 0.238 0.738 0.977 1
O2 O 0.262 0.238 0.500 1
O3 O 0.738 0.762 0.500 1
O4 O 0.762 0.262 0.023 1
```

Results
Space group: I4/mcm
Energy with MP2020 corrections: -5.42 eV per atom



The following is a PBE calculation of a geometry-optimized Ba2TlCuHgO6 structure, from the Materials Project.

```
data_Ba2TlCuHgO6
_cell_length_a 11.207
_cell_length_b 11.207
_cell_length_c 11.207
_cell_angle_alpha 159.96
_cell_angle_beta 157.95
_cell_angle_gamma 29.97
_symmetry_space_group_name_H-M 'P 1'
_symmetry_Int_Tables_number 1
loop_
_symmetry_equiv_pos_as_xyz
'x,y,z'
loop_
_atom_site_label
_atom_site_type_symbol
_atom_site_fract_x
_atom_site_fract_y
_atom_site_fract_z
_atom_site_occupancy
Ba1 Ba 0.000 0.000 0.000 1
Ba2 Ba 0.173 0.173 0.000 1
Tl1 Tl 0.791 0.791 0.000 1
Cu1 Cu 0.585 0.585 0.000 1
Hg1 Hg 0.385 0.385 0.000 1
O1 O 0.085 0.585 0.500 1
O2 O 0.310 0.810 0.500 1
O3 O 0.489 0.489 0.000 1
O4 O 0.589 0.089 0.500 1
O5 O 0.690 0.690 0.000 1
O6 O 0.854 0.354 0.500 1
```

Results
Space group: Imm2
Energy with MP2020 corrections: -5.27 eV per atom



The following is a PBE calculation of a geometry-optimized Np3Se3O13 structure, from the Materials Project.

```
data_Np3Se3O13
_cell_length_a 10.786
_cell_length_b 12.143
_cell_length_c 18.028
_cell_angle_alpha 90.00
_cell_angle_beta 90.00
_cell_angle_gamma 90.00
_symmetry_space_group_name_H-M 'P 1'
_symmetry_Int_Tables_number 1
loop_
_symmetry_equiv_pos_as_xyz
'x,y,z'
loop_
_atom_site_label
_atom_site_type_symbol
_atom_site_fract_x
_atom_site_fract_y
_atom_site_fract_z
_atom_site_occupancy
Np1 Np 0.006 0.164 0.099 1
Np2 Np 0.006 0.336 0.599 1
Np3 Np 0.010 0.071 0.739 1
Np4 Np 0.010 0.429 0.239 1
Np5 Np 0.249 0.587 0.922 1
Np6 Np 0.249 0.913 0.422 1
Np7 Np 0.251 0.087 0.922 1
Np8 Np 0.251 0.413 0.422 1
Np9 Np 0.490 0.571 0.739 1
Np10 Np 0.490 0.929 0.239 1
Np11 Np 0.494 0.664 0.099 1
Np12 Np 0.494 0.836 0.599 1
Np13 Np 0.506 0.164 0.401 1
Np14 Np 0.506 0.336 0.901 1
Np15 Np 0.510 0.071 0.761 1
Np16 Np 0.510 0.429 0.261 1
Np17 Np 0.749 0.587 0.578 1
Np18 Np 0.749 0.913 0.078 1
Np19 Np 0.751 0.087 0.578 1
Np20 Np 0.751 0.413 0.078 1
Np21 Np 0.990 0.571 0.761 1
Np22 Np 0.990 0.929 0.261 1
Np23 Np 0.994 0.664 0.401 1
Np24 Np 0.994 0.836 0.901 1
Se1 Se 0.027 0.160 0.447 1
Se2 Se 0.027 0.340 0.947 1
Se3 Se 0.204 0.697 0.267 1
Se4 Se 0.204 0.803 0.767 1
Se5 Se 0.225 0.538 0.607 1
Se6 Se 0.225 0.962 0.107 1
Se7 Se 0.275 0.038 0.607 1
Se8 Se 0.275 0.462 0.107 1
Se9 Se 0.296 0.197 0.267 1
Se10 Se 0.296 0.303 0.767 1
Se11 Se 0.473 0.660 0.447 1
Se12 Se 0.473 0.840 0.947 1
Se13 Se 0.527 0.160 0.053 1
Se14 Se 0.527 0.340 0.553 1
Se15 Se 0.704 0.697 0.233 1
Se16 Se 0.704 0.803 0.733 1
Se17 Se 0.725 0.538 0.893 1
Se18 Se 0.725 0.962 0.393 1
Se19 Se 0.775 0.038 0.893 1
Se20 Se 0.775 0.462 0.393 1
Se21 Se 0.796 0.197 0.233 1
Se22 Se 0.796 0.303 0.733 1
Se23 Se 0.973 0.660 0.053 1
Se24 Se 0.973 0.840 0.553 1
O1 O 0.075 0.673 0.977 1
O2 O 0.075 0.827 0.477 1
O3 O 0.079 0.609 0.282 1
O4 O 0.079 0.891 0.782 1
O5 O 0.086 0.224 0.655 1
O6 O 0.086 0.276 0.155 1
O7 O 0.095 0.551 0.442 1
O8 O 0.095 0.949 0.942 1
O9 O 0.098 0.214 0.968 1
O10 O 0.098 0.286 0.468 1
O11 O 0.106 0.012 0.165 1
O12 O 0.106 0.488 0.665 1
O13 O 0.116 0.523 0.830 1
O14 O 0.116 0.977 0.330 1
O15 O 0.127 0.118 0.812 1
O16 O 0.127 0.382 0.312 1
O17 O 0.134 0.066 0.476 1
O18 O 0.134 0.434 0.976 1
O19 O 0.135 0.703 0.716 1
O20 O 0.135 0.797 0.216 1
O21 O 0.148 0.504 0.154 1
O22 O 0.148 0.996 0.654 1
O23 O 0.189 0.747 0.360 1
O24 O 0.189 0.753 0.860 1
O25 O 0.206 0.079 0.051 1
O26 O 0.206 0.421 0.551 1
O27 O 0.294 0.579 0.051 1
O28 O 0.294 0.921 0.551 1
O29 O 0.311 0.247 0.360 1
O30 O 0.311 0.253 0.860 1
O31 O 0.352 0.004 0.154 1
O32 O 0.352 0.496 0.654 1
O33 O 0.365 0.203 0.716 1
O34 O 0.365 0.297 0.216 1
O35 O 0.366 0.566 0.476 1
O36 O 0.366 0.934 0.976 1
O37 O 0.373 0.618 0.812 1
O38 O 0.373 0.882 0.312 1
O39 O 0.384 0.023 0.830 1
O40 O 0.384 0.477 0.330 1
O41 O 0.394 0.512 0.165 1
O42 O 0.394 0.988 0.665 1
O43 O 0.402 0.714 0.968 1
O44 O 0.402 0.786 0.468 1
O45 O 0.405 0.051 0.442 1
O46 O 0.405 0.449 0.942 1
O47 O 0.414 0.724 0.655 1
O48 O 0.414 0.776 0.155 1
O49 O 0.421 0.109 0.282 1
O50 O 0.421 0.391 0.782 1
O51 O 0.425 0.173 0.977 1
O52 O 0.425 0.327 0.477 1
O53 O 0.575 0.673 0.523 1
O54 O 0.575 0.827 0.023 1
O55 O 0.579 0.609 0.218 1
O56 O 0.579 0.891 0.718 1
O57 O 0.586 0.224 0.845 1
O58 O 0.586 0.276 0.345 1
O59 O 0.595 0.551 0.058 1
O60 O 0.595 0.949 0.558 1
O61 O 0.598 0.214 0.532 1
O62 O 0.598 0.286 0.032 1
O63 O 0.606 0.012 0.335 1
O64 O 0.606 0.488 0.835 1
O65 O 0.616 0.523 0.670 1
O66 O 0.616 0.977 0.170 1
O67 O 0.627 0.118 0.688 1
O68 O 0.627 0.382 0.188 1
O69 O 0.634 0.066 0.024 1
O70 O 0.634 0.434 0.524 1
O71 O 0.635 0.703 0.784 1
O72 O 0.635 0.797 0.284 1
O73 O 0.648 0.504 0.346 1
O74 O 0.648 0.996 0.846 1
O75 O 0.689 0.747 0.140 1
O76 O 0.689 0.753 0.640 1
O77 O 0.706 0.079 0.449 1
O78 O 0.706 0.421 0.949 1
O79 O 0.794 0.579 0.449 1
O80 O 0.794 0.921 0.949 1
O81 O 0.811 0.247 0.140 1
O82 O 0.811 0.253 0.640 1
O83 O 0.852 0.004 0.346 1
O84 O 0.852 0.496 0.846 1
O85 O 0.865 0.203 0.784 1
O86 O 0.865 0.297 0.284 1
O87 O 0.866 0.566 0.024 1
O88 O 0.866 0.934 0.524 1
O89 O 0.873 0.618 0.688 1
O90 O 0.873 0.882 0.188 1
O91 O 0.884 0.023 0.670 1
O92 O 0.884 0.477 0.170 1
O93 O 0.894 0.512 0.335 1
O94 O 0.894 0.988 0.835 1
O95 O 0.902 0.714 0.532 1
O96 O 0.902 0.786 0.032 1
O97 O 0.905 0.051 0.058 1
O98 O 0.905 0.449 0.558 1
O99 O 0.914 0.724 0.845 1
O100 O 0.914 0.776 0.345 1
O101 O 0.921 0.109 0.218 1
O102 O 0.921 0.391 0.718 1
O103 O 0.925 0.173 0.523 1
O104 O 0.925 0.327 0.023 1
```

Results
Space group: Pbca
Energy with MP2020 corrections: -8.36 eV per atom



The following is a PBE calculation of a geometry-optimized Pr2AlSi structure, from the Materials Project.

```
data_Pr2AlSi
_cell_length_a 4.104
_cell_length_b 6.147
_cell_length_c 6.147
_cell_angle_alpha 43.00
_cell_angle_beta 90.00
_cell_angle_gamma 90.00
_symmetry_space_group_name_H-M 'P 1'
_symmetry_Int_Tables_number 1
loop_
_symmetry_equiv_pos_as_xyz
'x,y,z'
loop_
_atom_site_label
_atom_site_type_symbol
_atom_site_fract_x
_atom_site_fract_y
_atom_site_fract_z
_atom_site_occupancy
Pr1 Pr 0.000 0.000 0.000 1
Pr2 Pr 0.500 0.285 0.285 1
Al1 Al 0.500 0.578 0.578 1
Si1 Si 0.000 0.713 0.713 1
```

Results
Space group: Amm2
Energy with MP2020 corrections: -5.25 eV per atom



The following is a PBE calculation of a geometry-optimized Mg14CrW structure, from the Materials Project.

```
data_Mg14CrW
_cell_length_a 10.000
_cell_length_b 6.278
_cell_length_c 6.278
_cell_angle_alpha 58.54
_cell_angle_beta 90.00
_cell_angle_gamma 90.00
_symmetry_space_group_name_H-M 'P 1'
_symmetry_Int_Tables_number 1
loop_
_symmetry_equiv_pos_as_xyz
'x,y,z'
loop_
_atom_site_label
_atom_site_type_symbol
_atom_site_fract_x
_atom_site_fract_y
_atom_site_fract_z
_atom_site_occupancy
Mg1 Mg 0.000 0.000 0.000 1
Mg2 Mg 0.000 0.002 0.501 1
Mg3 Mg 0.000 0.499 0.499 1
Mg4 Mg 0.000 0.501 0.002 1
Mg5 Mg 0.253 0.662 0.662 1
Mg6 Mg 0.257 0.161 0.161 1
Mg7 Mg 0.263 0.165 0.673 1
Mg8 Mg 0.263 0.673 0.165 1
Mg9 Mg 0.500 0.001 0.500 1
Mg10 Mg 0.500 0.500 0.001 1
Mg11 Mg 0.737 0.165 0.673 1
Mg12 Mg 0.737 0.673 0.165 1
Mg13 Mg 0.743 0.161 0.161 1
Mg14 Mg 0.747 0.662 0.662 1
Cr1 Cr 0.500 0.501 0.501 1
W1 W 0.500 0.006 0.006 1
```

Results
VASP energy: -41.74 eV/cell
Space group: Amm2



The following is a PBE calculation of a geometry-optimized MgTe2MoW2Se2S2 structure, from the Materials Project.

```
data_MgTe2MoW2Se2S2
_cell_length_a 3.344
_cell_length_b 3.344
_cell_length_c 31.067
_cell_angle_alpha 90.00
_cell_angle_beta 90.00
_cell_angle_gamma 120.00
_symmetry_space_group_name_H-M 'P 1'
_symmetry_Int_Tables_number 1
loop_
_symmetry_equiv_pos_as_xyz
'x,y,z'
loop_
_atom_site_label
_atom_site_type_symbol
_atom_site_fract_x
_atom_site_fract_y
_atom_site_fract_z
_atom_site_occupancy
Mg1 Mg 0.000 0.000 0.000 1
Te1 Te 0.886 0.972 0.223 1
Te2 Te 0.886 0.972 0.345 1
Mo1 Mo 0.553 0.305 0.747 1
W1 W 0.553 0.305 0.284 1
W2 W 0.886 0.972 0.516 1
Se1 Se 0.553 0.305 0.462 1
Se2 Se 0.553 0.305 0.570 1
S1 S 0.886 0.972 0.698 1
S2 S 0.886 0.972 0.796 1
```

Results
Space group: P1
Energy with MP2020 corrections: -6.42 eV per atom



The following is a PBE calculation of a geometry-optimized CsH3Se2O8 structure, from the Materials Project.

```
data_CsH3Se2O8
_cell_length_a 8.201
_cell_length_b 13.535
_cell_length_c 9.041
_cell_angle_alpha 90.00
_cell_angle_beta 90.23
_cell_angle_gamma 90.00
_symmetry_space_group_name_H-M 'P 1'
_symmetry_Int_Tables_number 1
loop_
_symmetry_equiv_pos_as_xyz
'x,y,z'
loop_
_atom_site_label
_atom_site_type_symbol
_atom_site_fract_x
_atom_site_fract_y
_atom_site_fract_z
_atom_site_occupancy
Cs1 Cs 0.240 0.077 0.202 1
Cs2 Cs 0.240 0.423 0.702 1
Cs3 Cs 0.760 0.577 0.298 1
Cs4 Cs 0.760 0.923 0.798 1
H1 H 0.036 0.634 0.583 1
H2 H 0.036 0.866 0.083 1
H3 H 0.208 0.650 0.881 1
H4 H 0.208 0.850 0.381 1
H5 H 0.335 0.547 0.126 1
H6 H 0.335 0.953 0.626 1
H7 H 0.665 0.047 0.374 1
H8 H 0.665 0.453 0.874 1
H9 H 0.792 0.150 0.619 1
H10 H 0.792 0.350 0.119 1
H11 H 0.964 0.134 0.917 1
H12 H 0.964 0.366 0.417 1
Se1 Se 0.242 0.688 0.331 1
Se2 Se 0.242 0.812 0.831 1
Se3 Se 0.272 0.116 0.675 1
Se4 Se 0.272 0.384 0.175 1
Se5 Se 0.728 0.616 0.825 1
Se6 Se 0.728 0.884 0.325 1
Se7 Se 0.758 0.188 0.169 1
Se8 Se 0.758 0.312 0.669 1
O1 O 0.057 0.082 0.734 1
O2 O 0.057 0.418 0.234 1
O3 O 0.062 0.092 0.895 1
O4 O 0.062 0.408 0.395 1
O5 O 0.073 0.685 0.232 1
O6 O 0.073 0.815 0.732 1
O7 O 0.222 0.652 0.504 1
O8 O 0.222 0.848 0.004 1
O9 O 0.245 0.201 0.548 1
O10 O 0.245 0.299 0.048 1
O11 O 0.303 0.010 0.560 1
O12 O 0.303 0.490 0.060 1
O13 O 0.304 0.684 0.841 1
O14 O 0.304 0.816 0.341 1
O15 O 0.400 0.635 0.248 1
O16 O 0.400 0.865 0.748 1
O17 O 0.600 0.135 0.252 1
O18 O 0.600 0.365 0.752 1
O19 O 0.696 0.184 0.659 1
O20 O 0.696 0.316 0.159 1
O21 O 0.697 0.510 0.940 1
O22 O 0.697 0.990 0.440 1
O23 O 0.755 0.701 0.952 1
O24 O 0.755 0.799 0.452 1
O25 O 0.778 0.152 0.996 1
O26 O 0.778 0.348 0.496 1
O27 O 0.927 0.185 0.268 1
O28 O 0.927 0.315 0.768 1
O29 O 0.938 0.592 0.605 1
O30 O 0.938 0.908 0.105 1
O31 O 0.943 0.582 0.766 1
O32 O 0.943 0.918 0.266 1
```

Results
Space group: P2_1/c
Energy with MP2020 corrections: -5.34 eV per atom